Density functional theory data (GGA+U) for a geometry-optimized MoP2O8 structure.

a = 4.9815 Å, b = 12.9499 Å, c = 11.5758 Å
α = 90.00°, β = 110.34°, γ = 90.00°
Space group P2_1/c (No. 14)
One atom of each set of equivalent atoms:
1 Mo 0.0924 0.0709 0.2888
2 P 0.3123 0.0889 0.6152
3 P 0.4044 0.7482 0.2055
4 O 0.0805 0.0523 0.1432
5 O 0.1221 0.0969 0.4829
6 O 0.1608 0.0447 0.7017
7 O 0.2246 0.6656 0.2481
8 O 0.2400 0.6750 0.6157
9 O 0.3690 0.1842 0.3300
10 O 0.4055 0.2037 0.6610
11 O 0.4139 0.5256 0.8659

Properties
- DFT formation energy (eV/atom) = -2.329
- ΔE to the lowest computed polymorph (meV per atom) = 0.0

Density functional theory data (GGA+U) for a geometry-optimized Li9Mn2Co5O16 structure.

a = 2.9434 Å, b = 9.8656 Å, c = 10.5134 Å
α = 72.78°, β = 83.19°, γ = 87.25°
Space group P1 (No. 1)
One atom of each set of equivalent atoms:
1 Li 0.0000 0.0000 0.0000
2 Li 0.0333 0.2946 0.8816
3 Li 0.1802 0.9312 0.6244
4 Li 0.3019 0.5517 0.3742
5 Li 0.4276 0.1718 0.1173
6 Li 0.5375 0.8029 0.8811
7 Li 0.6818 0.4333 0.6218
8 Li 0.8031 0.0531 0.3727
9 Li 0.9291 0.6793 0.1296
10 Mn 0.6032 0.1130 0.7570
11 Mn 0.7375 0.7399 0.4962
12 Co 0.1105 0.6145 0.7501
13 Co 0.2301 0.2385 0.5016
14 Co 0.3784 0.8706 0.2382
15 Co 0.4844 0.4911 0.0017
16 Co 0.8613 0.3656 0.2529
17 O 0.0280 0.6398 0.9399
18 O 0.1019 0.9776 0.8054
19 O 0.1164 0.2516 0.6864
20 O 0.1740 0.5890 0.5621
21 O 0.3035 0.8896 0.4249
22 O 0.3285 0.2207 0.3193
23 O 0.3977 0.5101 0.1913
24 O 0.4433 0.8342 0.0846
25 O 0.5312 0.1485 0.9204
26 O 0.5709 0.4730 0.8098
27 O 0.6625 0.7641 0.6826
28 O 0.6653 0.0934 0.5682
29 O 0.7982 0.3839 0.4408
30 O 0.8076 0.7185 0.3154
31 O 0.9242 0.0105 0.1933
32 O 0.9438 0.3455 0.0620

Properties
- DFT formation energy (eV/atom) = -1.805
- ΔE to the lowest computed polymorph (meV per atom) = 58.9

Density functional theory data (GGA+U) for a geometry-optimized K9Ni2O7 structure.

a = 11.0215 Å, b = 11.0215 Å, c = 11.0215 Å
α = 90.00°, β = 90.00°, γ = 90.00°
Space group P2_13 (No. 198)
One atom of each set of equivalent atoms:
1 K 0.0036 0.2897 0.8379
2 K 0.0389 0.7825 0.1660
3 K 0.0661 0.0661 0.0661
4 K 0.0977 0.5977 0.9023
5 K 0.2286 0.2286 0.2286
6 Ni 0.0751 0.9249 0.4249
7 Ni 0.0970 0.4030 0.5970
8 O 0.0572 0.3174 0.0802
9 O 0.0649 0.8418 0.9084
10 O 0.1982 0.3018 0.6982

Properties
- DFT formation energy (eV/atom) = -1.303

Density functional theory data (GGA+U) for a geometry-optimized CrSiH12O6F6 structure.

a = 9.6081 Å, b = 9.6081 Å, c = 9.6866 Å
α = 90.00°, β = 90.00°, γ = 120.00°
Space group R-3 (No. 148, hexagonal axes)
One atom of each set of equivalent atoms:
1 Cr 0.0000 0.0000 0.0000
2 Si 0.0000 0.0000 0.5000
3 H 0.0179 0.1835 0.7718
4 H 0.0334 0.5582 0.7927
5 O 0.0145 0.8234 0.1312
6 F 0.0745 0.9056 0.6022

Properties
- DFT formation energy (eV/atom) = -1.857
- ΔE to the lowest computed polymorph (meV per atom) = 30.7

Density functional theory data (GGA+U) for a geometry-optimized FeSO10 structure.

a = 23.0371 Å, b = 23.0371 Å, c = 8.0593 Å
α = 90.00°, β = 90.00°, γ = 120.00°
Space group R-3 (No. 148, hexagonal axes)
One atom of each set of equivalent atoms:
1 Fe 0.0038 0.2838 0.0228
2 S 0.0662 0.4761 0.3545
3 O 0.0026 0.9442 0.0377
4 O 0.0041 0.5711 0.6970
5 O 0.0046 0.0593 0.5377
6 O 0.0059 0.7004 0.7541
7 O 0.0145 0.2370 0.7847
8 O 0.0350 0.2131 0.1084
9 O 0.0428 0.2207 0.4966
10 O 0.0630 0.4811 0.7388
11 O 0.0780 0.5410 0.4012
12 O 0.0905 0.2284 0.3959

Properties
- DFT formation energy (eV/atom) = -0.301
- ΔE to the lowest computed polymorph (meV per atom) = 67.1

Density functional theory data (GGA+U) for a geometry-optimized Li2VCrP2O8F2 structure.

a = 5.3708 Å, b = 7.4091 Å, c = 14.5509 Å
α = 94.23°, β = 92.70°, γ = 109.78°
Space group P1 (No. 1)
One atom of each set of equivalent atoms:
1 Li 0.0000 0.0000 0.0000
2 Li 0.1313 0.9022 0.2799
3 Li 0.3336 0.3338 0.3342
4 Li 0.4661 0.2348 0.6124
5 Li 0.6663 0.6675 0.6670
6 Li 0.7996 0.5683 0.9457
7 V 0.0655 0.4510 0.1401
8 V 0.0658 0.4512 0.6396
9 V 0.3996 0.7839 0.9725
10 Cr 0.4000 0.7847 0.4731
11 Cr 0.7332 0.1182 0.3072
12 Cr 0.7330 0.1178 0.8065
13 P 0.0391 0.0651 0.4932
14 P 0.0919 0.8374 0.7861
15 P 0.3736 0.3980 0.8266
16 P 0.4252 0.1680 0.1203
17 P 0.7082 0.7350 0.1605
18 P 0.7589 0.5031 0.4525
19 O 0.0304 0.6283 0.4251
20 O 0.0331 0.0846 0.3862
21 O 0.0959 0.8170 0.8929
22 O 0.1024 0.2737 0.8544
23 O 0.1335 0.2707 0.5457
24 O 0.2015 0.2445 0.0898
25 O 0.2665 0.9920 0.5230
26 O 0.3320 0.9639 0.0674
27 O 0.3634 0.9616 0.7587
28 O 0.3689 0.4197 0.7199
29 O 0.4316 0.1500 0.2270
30 O 0.4365 0.6080 0.1877
31 O 0.4680 0.6036 0.8790
32 O 0.5324 0.5775 0.4228
33 O 0.6003 0.3248 0.8570
34 O 0.6634 0.2976 0.4010
35 O 0.6957 0.2945 0.0921
36 O 0.7035 0.7527 0.0534
37 O 0.7639 0.4830 0.5596
38 O 0.7684 0.9408 0.5212
39 O 0.8018 0.9395 0.2121
40 O 0.8650 0.9105 0.7557
41 O 0.9312 0.6575 0.1909
42 O 0.9986 0.6315 0.7340
43 F 0.0195 0.3329 0.2632
44 F 0.1078 0.5655 0.0173
45 F 0.3589 0.6726 0.5932
46 F 0.4453 0.9004 0.3521
47 F 0.6922 0.0057 0.9271
48 F 0.7732 0.2300 0.6863

Properties
- DFT formation energy (eV/atom) = -2.797
- ΔE to the lowest computed polymorph (meV per atom) = 1.3

Density functional theory data (GGA+U) for a geometry-optimized SmCuW2O8 structure.

a = 7.2308 Å, b = 7.4005 Å, c = 7.4176 Å
α = 114.08°, β = 116.38°, γ = 90.61°
Space group P-1 (No. 2)
One atom of each set of equivalent atoms:
1 Sm 0.1749 0.2840 0.4414
2 Cu 0.2621 0.7199 0.1335
3 W 0.2626 0.2987 0.0173
4 W 0.3497 0.8885 0.7062
5 O 0.0312 0.2980 0.0673
6 O 0.1359 0.9847 0.7923
7 O 0.1800 0.6293 0.5552
8 O 0.1818 0.3359 0.7694
9 O 0.2883 0.9632 0.4854
10 O 0.3861 0.1881 0.2602
11 O 0.4466 0.5538 0.2482
12 O 0.4840 0.8297 0.0195

Properties
- DFT formation energy (eV/atom) = -2.359

> The highest DFT formation energy belongs to which entry?

FeSO10

> DFT formation energy of number 3 (K9Ni2O7)?

-1.303 eV/atom

> Which value of DFT formation energy does entry 1 give?

-2.329 eV/atom

> Look up the DFT formation energy of the second one.

-1.805 eV/atom